Density functional theory data (PBE) for a relaxed structure of Er9B5S21. Values from VASP.

Structure (Quantum ESPRESSO input):
```
&SYSTEM
  ibrav = 0, nat = 70, ntyp = 3
/
ATOMIC_SPECIES
S 32.06 S.upf
B 10.81 B.upf
Er 167.26 Er.upf
ATOMIC_POSITIONS angstrom
S 8.310 -6.484 0.293
S 2.710 -1.038 9.128
S 6.273 -5.355 5.146
S 4.005 6.059 10.102
S 5.951 7.368 5.347
S 5.621 -7.512 8.172
S 12.356 1.453 0.124
S 3.220 2.608 8.794
S 11.506 -2.616 3.343
S 2.126 -3.927 9.917
S 2.748 -1.792 2.770
S 1.099 1.124 6.577
S 10.227 3.421 4.669
S 9.039 -1.015 1.549
S 6.218 -1.497 2.988
S 5.411 -2.867 10.626
S 5.162 4.503 6.182
S 5.453 0.873 10.373
S 7.197 5.075 3.766
S 8.339 0.625 4.735
S 2.098 1.208 3.546
S 7.256 -4.758 8.179
S -0.213 -1.182 10.476
S 8.475 -0.645 9.327
S 3.750 -0.724 5.937
S 9.172 2.747 1.682
S 10.316 -3.441 0.130
S 6.166 3.778 9.481
S 4.651 -4.318 2.333
S 6.996 7.667 1.863
S 9.256 -4.294 5.828
S 7.030 -1.803 6.300
S 9.766 1.805 7.785
S 4.034 -3.488 7.530
S 10.482 -1.161 6.929
S 5.900 3.195 0.841
S 8.319 5.483 7.151
S 8.351 -4.037 2.387
S 4.091 0.584 1.165
S 6.335 1.178 7.130
S 11.456 0.980 3.161
S 5.414 2.220 3.949
B 7.747 -5.392 6.395
B 2.378 -2.817 8.354
B 7.155 0.000 5.988
B 4.684 2.637 10.054
B 3.009 0.000 2.518
B 10.678 2.755 2.892
B 9.608 0.000 8.041
B 8.642 -2.818 0.870
B 5.511 5.635 4.611
B 0.563 0.000 0.472
Er 5.733 6.379 8.069
Er 1.186 -1.116 4.985
Er 3.712 1.970 6.013
Er 9.445 -3.222 8.495
Er 6.472 -6.207 2.415
Er 5.229 -1.113 8.346
Er 7.706 5.097 0.941
Er 4.754 -2.093 0.722
Er 11.672 1.219 5.834
Er 8.090 2.003 10.115
Er 7.541 3.193 5.583
Er 4.602 -5.362 9.420
Er 6.952 0.945 2.141
Er 0.806 1.110 9.185
Er 8.778 -2.080 4.105
Er 11.693 -1.017 0.947
Er 4.762 -2.915 4.757
Er 3.513 3.209 2.205
CELL_PARAMETERS angstrom
7.452 -8.284 0.000
7.452 8.284 0.000
-1.757 0.000 11.003
```

calculated volume	19.4	Å³/atom
SG	R3 (146)

Density functional theory data (PBE) for a relaxed structure of Er5Si3B. Values from VASP.

Structure (Quantum ESPRESSO input):
```
&SYSTEM
  ibrav = 0, nat = 18, ntyp = 3
/
ATOMIC_SPECIES
Si 28.09 Si.upf
Er 167.26 Er.upf
B 10.81 B.upf
ATOMIC_POSITIONS angstrom
Si 2.543 4.404 1.566
Si 1.685 2.919 4.697
Si 3.370 0.000 1.566
Si 5.085 0.000 4.697
Si 1.685 -2.919 4.697
Si 2.543 -4.404 1.566
Er 4.228 2.441 3.131
Er 6.423 0.000 1.566
Er 4.228 2.441 0.000
Er 4.228 -2.441 3.131
Er 4.228 -2.441 0.000
Er 1.016 1.760 1.566
Er 3.211 -5.562 4.697
Er 2.033 0.000 4.697
Er 1.016 -1.760 1.566
Er 3.211 5.562 4.697
B 0.000 0.000 3.131
B 0.000 0.000 0.000
CELL_PARAMETERS angstrom
4.228 -7.323 0.000
4.228 7.323 0.000
0.000 0.000 6.263
```

calculated volume	21.5	Å³/atom
SG	P6_3/mcm (193)

Number 1: calculated density 5.5 g cm⁻³, DFT formation energy -1.737 eV per atom. Number 2: calculated density 8.0 g cm⁻³, DFT formation energy -0.549 eV per atom.